[1]
Density functional theory data (PBE+U) for a geometry-optimized Ca2YFeO5 structure.

```
Ca2YFeO5
1.0
-1.0847 -8.7963 0.8655
-7.3112 -4.2431 2.8005
2.9800 6.2425 -5.6081
Fe O Ca Y
2 10 4 2
direct
0.0000 0.0125 0.0125
0.5000 0.5125 0.0125
0.9514 0.9257 0.1361
0.3338 0.8086 0.6424
0.2896 0.4257 0.9743
0.2739 0.2817 0.5197
0.6662 0.3086 0.4748
0.7104 0.6846 0.1361
0.2620 0.7817 0.0079
0.7261 0.2459 0.0079
0.0486 0.1846 0.9743
0.7380 0.7459 0.5197
0.0696 0.5881 0.4603
0.6278 0.0881 0.5185
0.9304 0.3907 0.5185
0.3722 0.8907 0.4603
0.7049 0.7058 0.9107
0.2951 0.2058 0.0009
```

Output
Energy relative to the elements = -2.9344 eV per atom
Total magnetic moment = 5.00 μB/f.u.
V = 14.0 Å³/atom

[2]
Density functional theory data (PBE+U) for a geometry-optimized LiCrPH2O5 structure.

```
LiCrPH2O5
1.0
5.0458 0.0000 0.0000
0.0000 8.2967 0.0000
0.0000 0.0000 10.5458
H O Li P Cr
8 20 4 4 4
direct
0.1667 0.8261 0.5498
0.6667 0.3261 0.9502
0.3332 0.5322 0.9959
0.8332 0.4678 0.0041
0.8332 0.0322 0.5041
0.3332 0.9678 0.4959
0.1667 0.6739 0.0498
0.6667 0.1739 0.4502
0.5902 0.0891 0.2187
0.5399 0.8736 0.0617
0.4949 0.0918 0.8297
0.4949 0.4082 0.3297
0.9949 0.9082 0.1703
0.9949 0.5918 0.6703
0.0902 0.9109 0.7813
0.1658 0.5921 0.9820
0.5399 0.6264 0.5617
0.0399 0.1264 0.9383
0.6658 0.0921 0.5180
0.0399 0.3736 0.4383
0.0902 0.5891 0.2813
0.6658 0.4079 0.0180
0.1034 0.3006 0.2034
0.6034 0.6994 0.7966
0.1658 0.9079 0.4820
0.1034 0.1994 0.7034
0.5902 0.4109 0.7187
0.6034 0.8006 0.2966
0.7141 0.1921 0.6930
0.2141 0.6921 0.8070
0.2141 0.8079 0.3070
0.7141 0.3079 0.1930
0.6933 0.5852 0.6885
0.1933 0.4148 0.3115
0.6933 0.9148 0.1885
0.1933 0.0852 0.8115
0.2648 0.3940 0.6023
0.7648 0.8940 0.8977
0.2648 0.1060 0.1023
0.7648 0.6060 0.3977
```

Output
Energy relative to the elements = -2.1313 eV per atom
Total magnetic moment = 4.00 μB/f.u.
V = 11.0 Å³/atom